Computed, not measured: an optimized crystal structure of Te2Br at the PBE level of DFT.

a = 16.7024 Å, b = 4.0491 Å, c = 13.3941 Å
α = 90.00°, β = 90.00°, γ = 90.00°
Element x y z (fractional)
1 Te 0.0818 0.2500 0.2337
2 Te 0.0968 0.7500 0.0814
3 Te 0.1893 0.7500 0.6977
4 Te 0.2250 0.2500 0.5528
5 Te 0.2750 0.7500 0.0528
6 Te 0.3107 0.2500 0.1977
7 Te 0.4032 0.2500 0.5814
8 Te 0.4182 0.7500 0.7337
9 Te 0.5818 0.2500 0.2663
10 Te 0.5968 0.7500 0.4186
11 Te 0.6893 0.7500 0.8023
12 Te 0.7250 0.2500 0.9472
13 Te 0.7750 0.7500 0.4472
14 Te 0.8107 0.2500 0.3023
15 Te 0.9032 0.2500 0.9186
16 Te 0.9182 0.7500 0.7663
17 Br 0.0608 0.7500 0.3885
18 Br 0.1563 0.2500 0.8559
19 Br 0.3437 0.7500 0.3559
20 Br 0.4392 0.2500 0.8885
21 Br 0.5608 0.7500 0.1115
22 Br 0.6563 0.2500 0.6441
23 Br 0.8437 0.7500 0.1441
24 Br 0.9392 0.2500 0.6115

Output
**Corrected total energy (MP2020 scheme)**: -0.2195 Ry per atom
**ΔH_f (0 K)**: -0.3459 eV/atom
**Calculated volume**: 37.74 Å³ per atom
**Symmetry**: No. 62